[1]
# Sr3Y2FeCu3BiO12 (GGA+U, relaxed)
data_Sr3Y2FeCu3BiO12
_cell_length_a 5.413
_cell_length_b 5.413
_cell_length_c 20.028
_cell_angle_alpha 90.00
_cell_angle_beta 90.00
_cell_angle_gamma 90.00
_space_group_name_H-M_alt 'A m m 2'
_space_group_IT_number 38
loop_
_space_group_symop_operation_xyz
'x,y,z'
'-x,-y,z'
'-x,y,z'
'x,-y,z'
'x,y+1/2,z+1/2'
'-x,-y+1/2,z+1/2'
'-x,y+1/2,z+1/2'
'x,-y+1/2,z+1/2'
loop_
_atom_site_label
_atom_site_type_symbol
_atom_site_fract_x
_atom_site_fract_y
_atom_site_fract_z
_atom_site_occupancy
Sr1 Sr 0.000 0.000 0.000 1
Sr2 Sr 0.000 0.000 0.358 1
Sr3 Sr 0.500 0.000 0.500 1
Y1 Y 0.000 0.000 0.181 1
Y2 Y 0.500 0.000 0.684 1
Fe1 Fe 0.000 0.000 0.584 1
Cu1 Cu 0.000 0.000 0.767 1
Cu2 Cu 0.500 0.000 0.098 1
Cu3 Cu 0.500 0.000 0.266 1
Bi1 Bi 0.500 0.000 0.868 1
O1 O 0.000 0.000 0.488 1
O2 O 0.000 0.000 0.879 1
O3 O 0.248 0.248 0.251 1
O4 O 0.248 0.248 0.606 1
O5 O 0.500 0.000 0.379 1
O6 O 0.500 0.000 0.975 1
# Offset from the most stable computed form   0.0 meV per atom
# Mass density   6.2 g cm⁻³
# Formation energy   -2.364 eV per atom

[2]
# Sr3Y2FeCu3BiO12 (GGA+U, relaxed)
data_Sr3Y2FeCu3BiO12
_cell_length_a 10.616
_cell_length_b 5.772
_cell_length_c 11.776
_cell_angle_alpha 90.00
_cell_angle_beta 116.77
_cell_angle_gamma 90.00
_space_group_name_H-M_alt 'P 1 21/m 1'
_space_group_IT_number 11
loop_
_space_group_symop_operation_xyz
'x,y,z'
'-x,-y,-z'
'-x,y+1/2,-z'
'x,-y+1/2,z'
loop_
_atom_site_label
_atom_site_type_symbol
_atom_site_fract_x
_atom_site_fract_y
_atom_site_fract_z
_atom_site_occupancy
Sr1 Sr 0.019 0.250 0.414 1
Sr2 Sr 0.088 0.750 0.201 1
Sr3 Sr 0.424 0.750 0.753 1
Y1 Y 0.205 0.750 0.975 1
Y2 Y 0.234 0.250 0.731 1
Fe1 Fe 0.192 0.250 0.227 1
Cu1 Cu 0.224 0.750 0.477 1
Cu2 Cu 0.263 0.250 0.012 1
Cu3 Cu 0.496 0.750 0.042 1
Bi1 Bi 0.406 0.250 0.520 1
O1 O 0.001 0.750 0.355 1
O2 O 0.004 0.750 0.813 1
O3 O 0.198 0.026 0.100 1
O4 O 0.208 0.521 0.595 1
O5 O 0.254 0.017 0.368 1
O6 O 0.325 0.013 0.922 1
O7 O 0.461 0.750 0.574 1
O8 O 0.466 0.250 0.783 1
# Offset from the most stable computed form   179.2 meV per atom
# Mass density   5.6 g cm⁻³
# Formation energy   -2.184 eV per atom

[3]
# MgCuBiW2O8 (GGA+U, relaxed)
data_MgCuBiW2O8
_cell_length_a 5.375
_cell_length_b 6.234
_cell_length_c 6.275
_cell_angle_alpha 107.40
_cell_angle_beta 91.78
_cell_angle_gamma 112.83
_space_group_name_H-M_alt 'P 1'
_space_group_IT_number 1
loop_
_space_group_symop_operation_xyz
'x,y,z'
loop_
_atom_site_label
_atom_site_type_symbol
_atom_site_fract_x
_atom_site_fract_y
_atom_site_fract_z
_atom_site_occupancy
Mg1 Mg 0.000 0.000 0.000 1
Cu1 Cu 0.747 0.520 0.602 1
Bi1 Bi 0.317 0.619 0.137 1
W1 W 0.024 0.056 0.489 1
W2 W 0.527 0.042 0.777 1
O1 O 0.217 0.249 0.330 1
O2 O 0.241 0.844 0.470 1
O3 O 0.258 0.828 0.932 1
O4 O 0.262 0.214 0.811 1
O5 O 0.746 0.833 0.662 1
O6 O 0.766 0.812 0.196 1
O7 O 0.767 0.226 0.585 1
O8 O 0.788 0.231 0.030 1
# Mass density   7.2 g cm⁻³
# Formation energy   -1.956 eV per atom

[4]
# Mn4Cu3BiO12 (GGA+U, relaxed)
data_Mn4Cu3BiO12
_cell_length_a 7.459
_cell_length_b 7.487
_cell_length_c 7.489
_cell_angle_alpha 90.00
_cell_angle_beta 90.00
_cell_angle_gamma 90.00
_space_group_name_H-M_alt 'I m m m'
_space_group_IT_number 71
_space_group_name_Hall '-I 2 2'
loop_
_atom_site_label
_atom_site_type_symbol
_atom_site_fract_x
_atom_site_fract_y
_atom_site_fract_z
_atom_site_occupancy
Mn1 Mn 0.250 0.250 0.250 1
Cu1 Cu 0.000 0.000 0.000 1
Cu2 Cu 0.000 0.000 0.500 1
Cu3 Cu 0.000 0.500 0.000 1
Bi1 Bi 0.000 0.500 0.500 1
O1 O 0.000 0.329 0.191 1
O2 O 0.170 0.190 0.500 1
O3 O 0.191 0.000 0.170 1
# Offset from the most stable computed form   0.0 meV per atom
# Mass density   6.4 g cm⁻³
# Formation energy   -1.543 eV per atom

Q: Which magnetization values were calculated for the entries above? A: 8.013 16.004 2.000 32.040, in Bohr magnetons per cell.